Record 1
Crystalline ZnS at its relaxed geometry, computed with r²SCAN.

Lattice parameters (Å, degrees): 3.8080 3.8080 18.6787 90.00 90.00 120.00
Last column: nearest neighbours and their distance in Å.
Positions (direct):
1 Zn 0.3333 0.6667 0.8333  4 S 2.33
2 Zn 0.6667 0.3333 0.3333  4 S 2.33
3 Zn 0.6667 0.3333 0.6669  4 S 2.33
4 Zn 0.3333 0.6667 0.1669  4 S 2.33
5 Zn 0.0000 0.0000 0.4999  4 S 2.33-2.34
6 Zn 0.0000 0.0000 0.9999  4 S 2.33-2.34
7 S 0.3333 0.6667 0.9581  4 Zn 2.33
8 S 0.6667 0.3333 0.4581  4 Zn 2.33
9 S 0.6667 0.3333 0.7917  4 Zn 2.33
10 S 0.3333 0.6667 0.2917  4 Zn 2.33
11 S 0.0000 0.0000 0.6251  4 Zn 2.33-2.34
12 S 0.0000 0.0000 0.1251  4 Zn 2.33-2.34

---

Record 2
Crystalline ZnS at its relaxed geometry, computed with r²SCAN.

Lattice parameters (Å, degrees): 3.8078 3.8078 74.8100 90.00 90.00 120.00
Last column: nearest neighbours and their distance in Å.
Positions (direct):
1 Zn 0.6667 0.3333 0.8333  4 S 2.33
2 Zn 0.3333 0.6667 0.7917  4 S 2.33
3 Zn 0.6667 0.3333 0.3333  4 S 2.33
4 Zn 0.3333 0.6667 0.2917  4 S 2.33
5 Zn 0.0000 0.0000 0.3750  4 S 2.33
6 Zn 0.3333 0.6667 0.2083  4 S 2.33
7 Zn 0.3333 0.6667 0.7083  4 S 2.33
8 Zn 0.6667 0.3333 0.0833  4 S 2.33
9 Zn 0.0000 0.0000 0.5417  4 S 2.33
10 Zn 0.6667 0.3333 0.9167  4 S 2.33
11 Zn 0.0000 0.0000 0.1250  4 S 2.33-2.34
12 Zn 0.6667 0.3333 0.1667  4 S 2.33
13 Zn 0.3333 0.6667 0.0417  4 S 2.33
14 Zn 0.0000 0.0000 0.8750  4 S 2.33-2.34
15 Zn 0.3333 0.6667 0.4167  4 S 2.33-2.34
16 Zn 0.0000 0.0000 0.6250  4 S 2.33
17 Zn 0.3333 0.6667 0.9583  4 S 2.33
18 Zn 0.0000 0.0000 0.4584  4 S 2.33
19 Zn 0.3333 0.6667 0.5834  4 S 2.33-2.34
20 Zn 0.0000 0.0000 0.2500  4 S 2.33-2.34
21 Zn 0.6667 0.3333 0.6667  4 S 2.33
22 Zn 0.6667 0.3333 0.5000  4 S 2.33-2.34
23 Zn 0.0000 0.0000 0.0000  4 S 2.33-2.34
24 Zn 0.0000 0.0000 0.7500  4 S 2.33-2.34
25 S 0.6667 0.3333 0.9479  4 Zn 2.33
26 S 0.0000 0.0000 0.4895  4 Zn 2.33
27 S 0.0000 0.0000 0.4062  4 Zn 2.33
28 S 0.0000 0.0000 0.6562  4 Zn 2.33
29 S 0.6667 0.3333 0.6979  4 Zn 2.33
30 S 0.3333 0.6667 0.4479  4 Zn 2.33-2.34
31 S 0.0000 0.0000 0.0313  4 Zn 2.33-2.34
32 S 0.6667 0.3333 0.5313  4 Zn 2.33-2.34
33 S 0.3333 0.6667 0.9895  4 Zn 2.33
34 S 0.0000 0.0000 0.7813  4 Zn 2.33-2.34
35 S 0.0000 0.0000 0.5729  4 Zn 2.33
36 S 0.0000 0.0000 0.9063  4 Zn 2.33-2.34
37 S 0.3333 0.6667 0.7395  4 Zn 2.33
38 S 0.0000 0.0000 0.2813  4 Zn 2.33-2.34
39 S 0.6667 0.3333 0.3645  4 Zn 2.33
40 S 0.3333 0.6667 0.0729  4 Zn 2.33
41 S 0.6667 0.3333 0.1145  4 Zn 2.33
42 S 0.6667 0.3333 0.8645  4 Zn 2.33
43 S 0.3333 0.6667 0.8229  4 Zn 2.33
44 S 0.0000 0.0000 0.1563  4 Zn 2.33-2.34
45 S 0.3333 0.6667 0.2395  4 Zn 2.33
46 S 0.3333 0.6667 0.6146  4 Zn 2.33-2.34
47 S 0.3333 0.6667 0.3229  4 Zn 2.33
48 S 0.6667 0.3333 0.1979  4 Zn 2.33

---

Record 3
Crystalline ZnS at its relaxed geometry, computed with r²SCAN.

Lattice parameters (Å, degrees): 3.8094 3.8094 80.9486 90.00 90.00 120.00
Last column: nearest neighbours and their distance in Å.
Positions (direct):
1 Zn 0.6667 0.3333 0.6924  4 S 2.33
2 Zn 0.0000 0.0000 0.1151  4 S 2.33-2.34
3 Zn 0.6667 0.3333 0.4617  4 S 2.33-2.34
4 Zn 0.3333 0.6667 0.7692  4 S 2.33-2.34
5 Zn 0.3333 0.6667 0.6540  4 S 2.33
6 Zn 0.0000 0.0000 0.2307  4 S 2.33-2.34
7 Zn 0.6667 0.3333 0.9614  4 S 2.33-2.34
8 Zn 0.3333 0.6667 0.8845  4 S 2.33
9 Zn 0.3333 0.6667 0.0383  4 S 2.33
10 Zn 0.6667 0.3333 0.1922  4 S 2.34
11 Zn 0.0000 0.0000 0.8077  4 S 2.33
12 Zn 0.0000 0.0000 0.7308  4 S 2.33
13 Zn 0.6667 0.3333 0.0767  4 S 2.33
14 Zn 0.3333 0.6667 0.4232  4 S 2.33-2.34
15 Zn 0.6667 0.3333 0.8461  4 S 2.33
16 Zn 0.0000 0.0000 0.5772  4 S 2.33
17 Zn 0.3333 0.6667 0.5387  4 S 2.33-2.34
18 Zn 0.0000 0.0000 0.9999  4 S 2.33
19 Zn 0.3333 0.6667 0.3077  4 S 2.33-2.34
20 Zn 0.3333 0.6667 0.1536  4 S 2.33-2.34
21 Zn 0.6667 0.3333 0.2692  4 S 2.33
22 Zn 0.0000 0.0000 0.9229  4 S 2.33
23 Zn 0.6667 0.3333 0.6156  4 S 2.33
24 Zn 0.0000 0.0000 0.5002  4 S 2.33
25 Zn 0.6667 0.3333 0.3847  4 S 2.33
26 Zn 0.0000 0.0000 0.3462  4 S 2.33
27 S 0.0000 0.0000 0.0287  4 Zn 2.33
28 S 0.0000 0.0000 0.7596  4 Zn 2.33
29 S 0.3333 0.6667 0.6829  4 Zn 2.33
30 S 0.3333 0.6667 0.3366  4 Zn 2.33-2.34
31 S 0.6667 0.3333 0.2211  4 Zn 2.33-2.34
32 S 0.3333 0.6667 0.7981  4 Zn 2.33-2.34
33 S 0.6667 0.3333 0.7212  4 Zn 2.33
34 S 0.0000 0.0000 0.6060  4 Zn 2.33
35 S 0.3333 0.6667 0.0671  4 Zn 2.33
36 S 0.3333 0.6667 0.9133  4 Zn 2.33
37 S 0.3333 0.6667 0.4521  4 Zn 2.33-2.34
38 S 0.6667 0.3333 0.1055  4 Zn 2.33
39 S 0.6667 0.3333 0.8749  4 Zn 2.33
40 S 0.6667 0.3333 0.2981  4 Zn 2.33
41 S 0.0000 0.0000 0.9517  4 Zn 2.33
42 S 0.6667 0.3333 0.4906  4 Zn 2.33-2.34
43 S 0.6667 0.3333 0.9902  4 Zn 2.33-2.34
44 S 0.3333 0.6667 0.1825  4 Zn 2.34
45 S 0.0000 0.0000 0.8365  4 Zn 2.33
46 S 0.0000 0.0000 0.2596  4 Zn 2.33-2.34
47 S 0.6667 0.3333 0.4136  4 Zn 2.33
48 S 0.0000 0.0000 0.1440  4 Zn 2.33-2.34
49 S 0.0000 0.0000 0.5291  4 Zn 2.33
50 S 0.3333 0.6667 0.5676  4 Zn 2.33-2.34
51 S 0.0000 0.0000 0.3751  4 Zn 2.33
52 S 0.6667 0.3333 0.6444  4 Zn 2.33

---

Energy (computed, eV per atom): -9.43, -9.43, -9.43
E_form (computed, kcal/mol of atoms): -22.185, -22.186, -22.191